This record from Materials Project describes LiCrBO3 after structural relaxation. The functional is PBE+U. Values from VASP.

energy relative to the elements: -2.4366 eV/atom
total magnetic moment: 0.0 μB per formula unit
DFT total energy: -7.27 eV/atom

The structure in Quantum ESPRESSO input format:
```
&SYSTEM
  ibrav = 0, nat = 24, ntyp = 4
/
ATOMIC_SPECIES
B 10.81 B.upf
O 16.00 O.upf
Li 6.94 Li.upf
Cr 52.00 Cr.upf
ATOMIC_POSITIONS crystal
B 0.902 0.832 0.091
B 0.098 0.168 0.909
B 0.402 0.332 0.591
B 0.598 0.668 0.409
O 0.457 0.816 0.477
O 0.000 0.958 0.252
O 0.500 0.458 0.752
O 0.957 0.316 0.977
O 0.150 0.347 0.503
O 0.543 0.183 0.523
O 0.350 0.153 0.997
O 0.650 0.847 0.003
O 0.500 0.542 0.248
O 0.043 0.684 0.023
O 0.000 0.042 0.748
O 0.850 0.653 0.497
Li 0.084 0.848 0.537
Li 0.416 0.652 0.963
Li 0.916 0.152 0.463
Li 0.584 0.348 0.037
Cr 0.901 0.488 0.739
Cr 0.099 0.512 0.262
Cr 0.401 0.988 0.238
Cr 0.599 0.012 0.761
CELL_PARAMETERS angstrom
-1.591 -4.958 -0.822
6.219 -1.443 -4.672
2.615 -1.302 5.257
```